# GGA+U MgMn2Fe4O8, relaxed
# - VASP energy (eV per cell) = -101.6
# - offset from the most stable computed form (meV/atom) = 21
# - energy of formation from the pure elements (kcal/mol of atoms) = -40.0
data_MgMn2Fe4O8
_cell_length_a 6.0822
_cell_length_b 6.2619
_cell_length_c 6.3261
_cell_angle_alpha 119.14
_cell_angle_beta 118.57
_cell_angle_gamma 90.17
_space_group_name_H-M_alt 'P 1'
_space_group_IT_number 1
_space_group_name_Hall 'P 1'
loop_
_atom_site_label
_atom_site_type_symbol
_atom_site_fract_x
_atom_site_fract_y
_atom_site_fract_z
Mg1 Mg 0.0000 0.0000 0.0000
Mn1 Mn 0.2891 0.3109 0.5854
Mn2 Mn 0.9497 0.4571 0.9045
Fe1 Fe 0.0823 0.8190 0.6036
Fe2 Fe 0.5201 0.8234 0.6074
Fe3 Fe 0.6005 0.8739 0.2046
Fe4 Fe 0.6023 0.3594 0.2106
O1 O 0.3615 0.6033 0.1749
O2 O 0.3854 0.1196 0.7792
O3 O 0.3857 0.6926 0.7744
O4 O 0.3871 0.1407 0.2577
O5 O 0.8068 0.6024 0.1723
O6 O 0.8321 0.6238 0.6652
O7 O 0.8335 0.0633 0.6706
O8 O 0.8655 0.1402 0.2537


# GGA+U LiCo2P3O12, relaxed
# - VASP energy (eV per cell) = -468.3
# - offset from the most stable computed form (meV/atom) = 9
# - energy of formation from the pure elements (kcal/mol of atoms) = -47.2
data_LiCo2P3O12
_cell_length_a 8.5891
_cell_length_b 8.6756
_cell_length_c 14.7678
_cell_angle_alpha 90.00
_cell_angle_beta 124.99
_cell_angle_gamma 90.00
_space_group_name_H-M_alt 'P 1 21/c 1'
_space_group_IT_number 14
_space_group_name_Hall '-P 2ybc'
loop_
_atom_site_label
_atom_site_type_symbol
_atom_site_fract_x
_atom_site_fract_y
_atom_site_fract_z
Li1 Li 0.0199 0.2218 0.3177
Co1 Co 0.1438 0.5400 0.3913
Co2 Co 0.3706 0.5270 0.1204
P1 P 0.0348 0.1058 0.6450
P2 P 0.2513 0.6165 0.6472
P3 P 0.4592 0.2504 0.4939
O1 O 0.0063 0.2341 0.1798
O2 O 0.0799 0.5134 0.2353
O3 O 0.0938 0.5886 0.6656
O4 O 0.1460 0.5511 0.9636
O5 O 0.1758 0.5763 0.5261
O6 O 0.2025 0.1135 0.6333
O7 O 0.2610 0.1721 0.9299
O8 O 0.2975 0.7091 0.1667
O9 O 0.3810 0.6307 0.4371
O10 O 0.4238 0.5136 0.7243
O11 O 0.4682 0.1353 0.5766
O12 O 0.4805 0.1710 0.4088


# GGA+U Li9Co7O16, relaxed
# - VASP energy (eV per cell) = -179.8
# - offset from the most stable computed form (meV/atom) = 0
# - energy of formation from the pure elements (kcal/mol of atoms) = -40.5
data_Li9Co7O16
_cell_length_a 6.4068
_cell_length_b 6.4197
_cell_length_c 7.5187
_cell_angle_alpha 75.42
_cell_angle_beta 65.21
_cell_angle_gamma 71.63
_space_group_name_H-M_alt 'P -1'
_space_group_IT_number 2
_space_group_name_Hall '-P 1'
loop_
_atom_site_label
_atom_site_type_symbol
_atom_site_fract_x
_atom_site_fract_y
_atom_site_fract_z
Li1 Li 0.0000 0.0000 0.0000
Li2 Li 0.0585 0.4341 0.8213
Li3 Li 0.1883 0.3132 0.4352
Li4 Li 0.3030 0.1867 0.0618
Li5 Li 0.4328 0.0605 0.6908
Co1 Co 0.1246 0.8757 0.6259
Co2 Co 0.2470 0.7540 0.2461
Co3 Co 0.3737 0.6261 0.8755
Co4 Co 0.5000 0.5000 0.5000
O1 O 0.0532 0.7205 0.8893
O2 O 0.0724 0.1517 0.7121
O3 O 0.1762 0.6108 0.5172
O4 O 0.2034 0.0173 0.3494
O5 O 0.2951 0.4862 0.1484
O6 O 0.3442 0.8788 0.9834
O7 O 0.4276 0.3567 0.7703
O8 O 0.4525 0.7676 0.6022


# GGA+U Mo2P2O11, relaxed
# - VASP energy (eV per cell) = -426.8
# - offset from the most stable computed form (meV/atom) = 16
# - energy of formation from the pure elements (kcal/mol of atoms) = -51.8
data_Mo2P2O11
_cell_length_a 12.7810
_cell_length_b 6.3941
_cell_length_c 10.6712
_cell_angle_alpha 90.00
_cell_angle_beta 90.00
_cell_angle_gamma 90.00
_space_group_name_H-M_alt 'P n m a'
_space_group_IT_number 62
_space_group_name_Hall '-P 2ac 2n'
loop_
_atom_site_label
_atom_site_type_symbol
_atom_site_fract_x
_atom_site_fract_y
_atom_site_fract_z
Mo1 Mo 0.0061 0.2500 0.2187
Mo2 Mo 0.2504 0.2500 0.4882
P1 P 0.0231 0.2500 0.6894
P2 P 0.1582 0.7500 0.4954
O1 O 0.0268 0.0566 0.7744
O2 O 0.0558 0.2500 0.0704
O3 O 0.0903 0.7500 0.6086
O4 O 0.0912 0.7500 0.3694
O5 O 0.1032 0.2500 0.5853
O6 O 0.1184 0.2500 0.3138
O7 O 0.1572 0.7500 0.8653
O8 O 0.1727 0.7500 0.1178
O9 O 0.2285 0.5566 0.4810


# GGA+U CoSeO3, relaxed
# - VASP energy (eV per cell) = -906.5
# - energy of formation from the pure elements (kcal/mol of atoms) = -30.3
data_CoSeO3
_cell_length_a 15.9947
_cell_length_b 10.0867
_cell_length_c 15.2117
_cell_angle_alpha 90.00
_cell_angle_beta 110.68
_cell_angle_gamma 90.00
_space_group_name_H-M_alt 'C 1 2 1'
_space_group_IT_number 5
_space_group_name_Hall 'C 2y'
loop_
_atom_site_label
_atom_site_type_symbol
_atom_site_fract_x
_atom_site_fract_y
_atom_site_fract_z
Co1 Co 0.0672 0.0000 0.2816
Co2 Co 0.0676 0.2361 0.7818
Co3 Co 0.2265 0.2177 0.9899
Co4 Co 0.2265 0.0188 0.4915
Co5 Co 0.2341 0.4738 0.1691
Co6 Co 0.2338 0.7613 0.6688
Co7 Co 0.2392 0.2453 0.6551
Co8 Co 0.2391 0.9908 0.1551
Se1 Se 0.0846 0.0002 0.6155
Se2 Se 0.0847 0.2356 0.1157
Se3 Se 0.0975 0.5017 0.9342
Se4 Se 0.0972 0.7352 0.4342
Se5 Se 0.1154 0.2909 0.4004
Se6 Se 0.1159 0.9442 0.9006
Se7 Se 0.1253 0.4793 0.6482
Se8 Se 0.1258 0.7558 0.1481
O1 O 0.0312 0.1006 0.6728
O2 O 0.0308 0.1354 0.1727
O3 O 0.0374 0.3541 0.3016
O4 O 0.0371 0.8822 0.8018
O5 O 0.1143 0.3346 0.9147
O6 O 0.1141 0.9025 0.4158
O7 O 0.1150 0.5140 0.0510
O8 O 0.1147 0.7220 0.5510
O9 O 0.1456 0.1126 0.5756
O10 O 0.1458 0.1234 0.0758
O11 O 0.1547 0.3496 0.7304
O12 O 0.1546 0.8853 0.2303
O13 O 0.1621 0.1420 0.3682
O14 O 0.1625 0.0932 0.8689
O15 O 0.1693 0.3145 0.2044
O16 O 0.1693 0.9211 0.7041
O17 O 0.1908 0.4233 0.5854
O18 O 0.1913 0.8125 0.0853
O19 O 0.1949 0.5951 0.7239
O20 O 0.1959 0.6405 0.2241
O21 O 0.1973 0.6707 0.4293
O22 O 0.1979 0.5651 0.9299
O23 O 0.2112 0.8525 0.9066
O24 O 0.2121 0.3806 0.4084


# GGA+U Mg3V2Bi2O12, relaxed
# - VASP energy (eV per cell) = -120.2
# - energy of formation from the pure elements (kcal/mol of atoms) = -50.6
data_Mg3V2Bi2O12
_cell_length_a 7.4158
_cell_length_b 5.5272
_cell_length_c 7.5808
_cell_angle_alpha 90.00
_cell_angle_beta 114.97
_cell_angle_gamma 90.00
_space_group_name_H-M_alt 'P 1 m 1'
_space_group_IT_number 6
_space_group_name_Hall 'P -2y'
loop_
_atom_site_label
_atom_site_type_symbol
_atom_site_fract_x
_atom_site_fract_y
_atom_site_fract_z
Mg1 Mg 0.0000 0.0000 0.0000
Mg2 Mg 0.1657 0.5000 0.8147
Mg3 Mg 0.5463 0.5000 0.2000
V1 V 0.0714 0.5000 0.2973
V2 V 0.4725 0.0000 0.9064
Bi1 Bi 0.6772 0.5000 0.6903
Bi2 Bi 0.8640 0.0000 0.5143
O1 O 0.1467 0.2527 0.2028
O2 O 0.1745 0.5000 0.5525
O3 O 0.3742 0.0000 0.6633
O4 O 0.3858 0.2645 0.9824
O5 O 0.6182 0.2670 0.4327
O6 O 0.7283 0.0000 0.9980
O7 O 0.8173 0.5000 0.2041
O8 O 0.9418 0.2493 0.7727


# GGA+U SrLaFeCoO6, relaxed
# - VASP energy (eV per cell) = -271.1
# - offset from the most stable computed form (meV/atom) = 28
# - energy of formation from the pure elements (kcal/mol of atoms) = -55.1
data_SrLaFeCoO6
_cell_length_a 9.4749
_cell_length_b 5.5664
_cell_length_c 9.5004
_cell_angle_alpha 90.00
_cell_angle_beta 108.01
_cell_angle_gamma 90.00
_space_group_name_H-M_alt 'C 1 m 1'
_space_group_IT_number 8
_space_group_name_Hall 'C -2y'
loop_
_atom_site_label
_atom_site_type_symbol
_atom_site_fract_x
_atom_site_fract_y
_atom_site_fract_z
Sr1 Sr 0.0000 0.0000 0.0000
Sr2 Sr 0.0007 0.5000 0.5002
La1 La 0.2494 0.5000 0.2505
La2 La 0.2512 0.0000 0.7518
Fe1 Fe 0.3753 0.0000 0.1264
Fe2 Fe 0.3762 0.5000 0.6263
Co1 Co 0.1248 0.0000 0.3734
Co2 Co 0.1247 0.5000 0.8730
O1 O 0.0041 0.5000 0.9945
O2 O 0.0072 0.0000 0.4970
O3 O 0.2449 0.0000 0.2545
O4 O 0.2472 0.5000 0.7563
O5 O 0.2501 0.2453 0.0009
O6 O 0.2514 0.2551 0.5002
O7 O 0.4977 0.2472 0.2481
O8 O 0.4985 0.2523 0.7478


# GGA+U YMg6CrO8, relaxed
# - VASP energy (eV per cell) = -102.8
# - offset from the most stable computed form (meV/atom) = 0
# - energy of formation from the pure elements (kcal/mol of atoms) = -64.9
data_YMg6CrO8
_cell_length_a 4.4066
_cell_length_b 4.4066
_cell_length_c 9.0433
_cell_angle_alpha 90.00
_cell_angle_beta 90.00
_cell_angle_gamma 90.00
_space_group_name_H-M_alt 'P 4/m m m'
_space_group_IT_number 123
_space_group_name_Hall '-P 4 2'
loop_
_atom_site_label
_atom_site_type_symbol
_atom_site_fract_x
_atom_site_fract_y
_atom_site_fract_z
Y1 Y 0.0000 0.0000 0.0000
Mg1 Mg 0.0000 0.0000 0.5000
Mg2 Mg 0.0000 0.5000 0.2677
Mg3 Mg 0.5000 0.5000 0.5000
Cr1 Cr 0.5000 0.5000 0.0000
O1 O 0.0000 0.0000 0.2607
O2 O 0.0000 0.5000 0.0000
O3 O 0.0000 0.5000 0.5000
O4 O 0.5000 0.5000 0.2731


# GGA+U MgV12B4O20, relaxed
# - VASP energy (eV per cell) = -288.6
# - offset from the most stable computed form (meV/atom) = 0
# - energy of formation from the pure elements (kcal/mol of atoms) = -53.9
data_MgV12B4O20
_cell_length_a 9.6929
_cell_length_b 3.1620
_cell_length_c 13.0170
_cell_angle_alpha 90.00
_cell_angle_beta 91.32
_cell_angle_gamma 90.00
_space_group_name_H-M_alt 'P 1 m 1'
_space_group_IT_number 6
_space_group_name_Hall 'P -2y'
loop_
_atom_site_label
_atom_site_type_symbol
_atom_site_fract_x
_atom_site_fract_y
_atom_site_fract_z
Mg1 Mg 0.0000 0.0000 0.0000
V1 V 0.0408 0.5000 0.6408
V2 V 0.0432 0.5000 0.1787
V3 V 0.2808 0.0000 0.3135
V4 V 0.2892 0.5000 0.5312
V5 V 0.3047 0.0000 0.0363
V6 V 0.3101 0.0000 0.7472
V7 V 0.5331 0.5000 0.9127
V8 V 0.5390 0.5000 0.4263
V9 V 0.7551 0.5000 0.0486
V10 V 0.7731 0.0000 0.2669
V11 V 0.7895 0.0000 0.5370
V12 V 0.7924 0.0000 0.8049
B1 B 0.0070 0.5000 0.4001
B2 B 0.0882 0.5000 0.8738
B3 B 0.5056 0.5000 0.1820
B4 B 0.5701 0.5000 0.6713
O1 O 0.1488 0.5000 0.9743
O2 O 0.1506 0.5000 0.3919
O3 O 0.1563 0.5000 0.7860
O4 O 0.1746 0.0000 0.1673
O5 O 0.1876 0.0000 0.6085
O6 O 0.3929 0.0000 0.4558
O7 O 0.4053 0.0000 0.8942
O8 O 0.4261 0.5000 0.6720
O9 O 0.4313 0.5000 0.2718
O10 O 0.4434 0.5000 0.0839
O11 O 0.6389 0.5000 0.5797
O12 O 0.6430 0.5000 0.7664
O13 O 0.6501 0.5000 0.1884
O14 O 0.6668 0.0000 0.4015
O15 O 0.6860 0.0000 0.9529
O16 O 0.8846 0.0000 0.1197
O17 O 0.9112 0.0000 0.6746
O18 O 0.9248 0.5000 0.3097
O19 O 0.9416 0.5000 0.4933
O20 O 0.9418 0.5000 0.8848


Look up the energy of formation from the pure elements of the third one.
-40.5 kcal/mol of atoms


Copy entry 4 word for word.
# GGA+U Mo2P2O11, relaxed
# - VASP energy (eV per cell) = -426.8
# - offset from the most stable computed form (meV/atom) = 16
# - energy of formation from the pure elements (kcal/mol of atoms) = -51.8
data_Mo2P2O11
_cell_length_a 12.7810
_cell_length_b 6.3941
_cell_length_c 10.6712
_cell_angle_alpha 90.00
_cell_angle_beta 90.00
_cell_angle_gamma 90.00
_space_group_name_H-M_alt 'P n m a'
_space_group_IT_number 62
_space_group_name_Hall '-P 2ac 2n'
loop_
_atom_site_label
_atom_site_type_symbol
_atom_site_fract_x
_atom_site_fract_y
_atom_site_fract_z
Mo1 Mo 0.0061 0.2500 0.2187
Mo2 Mo 0.2504 0.2500 0.4882
P1 P 0.0231 0.2500 0.6894
P2 P 0.1582 0.7500 0.4954
O1 O 0.0268 0.0566 0.7744
O2 O 0.0558 0.2500 0.0704
O3 O 0.0903 0.7500 0.6086
O4 O 0.0912 0.7500 0.3694
O5 O 0.1032 0.2500 0.5853
O6 O 0.1184 0.2500 0.3138
O7 O 0.1572 0.7500 0.8653
O8 O 0.1727 0.7500 0.1178
O9 O 0.2285 0.5566 0.4810